Record 1
Below is SrMg6Mo after structural relaxation, with properties calculated at the PBE level.

The structure in POSCAR format:
```
SrMg6Mo
1.0
5.155 0.000 0.000
0.000 6.574 0.000
0.000 0.000 11.350
Sr Mg Mo
2 12 2
Cartesian
0.000 3.287 7.617
0.000 0.000 1.942
0.000 1.761 10.383
0.000 4.813 10.383
0.000 3.287 1.870
2.578 1.747 0.865
2.578 4.827 0.865
2.578 3.287 3.801
0.000 5.048 4.708
0.000 1.526 4.708
0.000 0.000 7.545
2.578 5.034 6.540
2.578 1.540 6.540
2.578 0.000 9.476
2.578 3.287 9.615
2.578 0.000 3.940
```

Computed properties:
Its energy above the most stable polymorph in this dataset is 1.03 eV/f.u. As for the calculated density: 2.84 Mg/m³. Its formation energy is 342 meV/atom.


Record 2
Below is Ca2B2O5 after structural relaxation, with properties calculated at the PBE level.

The structure in POSCAR format:
```
Ca2B2O5
1.0
-2.697 -0.892 -4.379
-0.070 -7.120 1.492
-9.964 0.833 5.967
Ca B O
8 8 20
Cartesian
-5.205 -2.925 0.275
-1.555 -4.344 1.427
-7.526 -4.254 2.805
-11.175 -2.835 1.653
-5.018 -6.505 0.676
-1.927 -0.825 0.727
-7.713 -0.674 2.404
-10.804 -6.354 2.353
-10.304 -4.362 4.514
-8.417 -2.734 -0.090
-2.426 -2.817 -1.434
-4.313 -4.445 3.170
-2.573 -6.447 -0.697
-4.246 -0.841 2.303
-10.157 -0.731 3.777
-8.484 -6.338 0.777
-7.325 -5.920 0.072
-1.272 -1.956 -1.353
-5.405 -1.259 3.008
-11.459 -5.223 4.433
-9.786 -3.973 5.720
-7.545 -2.664 0.963
-2.945 -3.206 -2.640
-5.185 -4.515 2.117
-9.827 -4.056 3.268
-6.969 -2.404 4.283
-2.904 -3.123 -0.188
-5.761 -4.775 -1.203
-9.065 -0.240 4.434
-8.338 -6.420 2.133
-3.666 -6.939 -1.354
-4.393 -0.759 0.947
-6.996 -5.655 4.564
-10.145 -0.918 2.428
-5.734 -1.523 -1.484
-2.586 -6.261 0.652
```

Computed properties:
Its energy above the most stable polymorph in this dataset is 0.06 eV/f.u. As for the calculated density: 2.73 Mg/m³. Its formation energy is -3236 meV/atom. Its space-group type is No. 14.


Record 3
Below is RbHgO3 after structural relaxation, with properties calculated at the PBE level.

The structure in POSCAR format:
```
RbHgO3
1.0
4.379 0.000 0.000
0.000 4.379 0.000
0.000 0.000 4.379
Rb Hg O
1 1 3
Cartesian
0.000 0.000 0.000
2.189 2.189 2.189
2.189 2.189 0.000
2.189 0.000 2.189
0.000 2.189 2.189
```

Computed properties:
As for the calculated density: 6.61 Mg/m³. Its formation energy is -475 meV/atom. Its space-group type is No. 221.


Record 4
Below is TeMoWSeS2 after structural relaxation, with properties calculated at the PBE level.

The structure in POSCAR format:
```
TeMoWSeS2
1.0
1.654 -2.865 0.000
1.654 2.865 0.000
0.000 0.000 37.632
Te Mo W Se S
2 2 2 2 4
Cartesian
1.654 0.955 15.752
1.654 0.955 19.596
0.000 0.000 3.535
1.654 0.955 10.604
0.000 0.000 17.674
1.654 0.955 24.745
1.654 0.955 1.858
1.654 0.955 5.212
0.000 0.000 12.133
0.000 0.000 26.278
0.000 0.000 9.075
0.000 0.000 23.212
```

Computed properties:
Its energy above the most stable polymorph in this dataset is 0.23 eV/f.u. As for the calculated density: 5.13 Mg/m³. Its formation energy is -723 meV/atom. Its space-group type is No. 156.


Record 5
Below is SmSb2Pd after structural relaxation, with properties calculated at the PBE level.

The structure in POSCAR format:
```
SmSb2Pd
1.0
-1.975 -1.713 3.669
3.956 0.052 2.154
-1.848 8.940 3.179
Sm Sb Pd
2 4 2
Cartesian
0.600 6.693 3.447
-1.457 1.417 2.642
0.990 -0.830 2.911
0.000 0.000 0.000
1.345 3.091 2.167
-2.202 5.019 3.923
0.067 3.640 4.501
-0.924 4.470 1.589
```

Computed properties:
As for the calculated density: 8.47 Mg/m³. Its formation energy is -830 meV/atom. Its space-group type is No. 129.


Record 6
Below is AcSnPd2 after structural relaxation, with properties calculated at the PBE level.

The structure in POSCAR format:
```
AcSnPd2
1.0
-4.074 -3.006 0.519
-1.504 -1.470 4.635
-4.299 1.861 1.990
Ac Sn Pd
1 1 2
Cartesian
-4.938 -1.308 3.572
0.000 0.000 0.000
-2.469 -0.654 1.786
-7.407 -1.962 5.358
```

Computed properties:
As for the calculated density: 9.95 Mg/m³. Its formation energy is -669 meV/atom. Its space-group type is No. 225.